1.
# Sb4Se3S3, optimized geometry, DFT PBE
# Raw total energy = -83.65 eV for the cell shown
# Total magnetization = 0.00 Bohr magnetons per cell
# ρ = 4.99 g/cm³
data_Sb4Se3S3
_chemical_formula_sum 'Sb8 Se6 S6'
_cell_length_a 3.9528
_cell_length_b 11.5058
_cell_length_c 11.9980
_cell_angle_alpha 90.00
_cell_angle_beta 90.00
_cell_angle_gamma 90.00
_space_group_name_H-M_alt 'P m c 21'
_space_group_IT_number 26
loop_
_space_group_symop_operation_xyz
'x,y,z'
'-x,-y,z+1/2'
'-x,y,z'
'x,-y,z+1/2'
loop_
_atom_site_label
_atom_site_type_symbol
_atom_site_fract_x
_atom_site_fract_y
_atom_site_fract_z
_atom_site_occupancy
Sb1 Sb 0.0000 0.0780 0.0000 1
Sb2 Sb 0.0000 0.2857 0.3166 1
Sb3 Sb 0.5000 0.2085 0.6098 1
Sb4 Sb 0.5000 0.4155 0.9298 1
Se1 Se 0.0000 0.3766 0.5176 1
Se2 Se 0.5000 0.1164 0.4101 1
Se3 Se 0.5000 0.4453 0.2497 1
S1 S 0.0000 0.0584 0.6669 1
S2 S 0.0000 0.3053 0.8415 1
S3 S 0.5000 0.1908 0.0877 1

=====

2.
# Nd4MgCu2O8, optimized geometry, DFT PBE
# Raw total energy = -211.36 eV for the cell shown
# Total magnetization = 0.00 Bohr magnetons per cell
# ρ = 5.97 g/cm³
data_Nd4MgCu2O8
_chemical_formula_sum 'Nd8 Mg2 Cu4 O16'
_cell_length_a 6.8583
_cell_length_b 12.3011
_cell_length_c 6.4023
_cell_angle_alpha 90.00
_cell_angle_beta 118.10
_cell_angle_gamma 90.00
_space_group_name_H-M_alt 'C 1 2 1'
_space_group_IT_number 5
loop_
_space_group_symop_operation_xyz
'x,y,z'
'-x,y,-z'
'x+1/2,y+1/2,z'
'-x+1/2,y+1/2,-z'
loop_
_atom_site_label
_atom_site_type_symbol
_atom_site_fract_x
_atom_site_fract_y
_atom_site_fract_z
_atom_site_occupancy
Nd1 Nd 0.1671 0.0000 0.2986 1
Nd2 Nd 0.1862 0.7636 0.8170 1
Mg1 Mg 0.0000 0.5200 0.0000 1
Cu1 Cu 0.1953 0.2043 0.5983 1
O1 O 0.0000 0.0827 0.5000 1
O2 O 0.0000 0.1463 0.0000 1
O3 O 0.0000 0.5929 0.5000 1
O4 O 0.0000 0.6777 0.0000 1
O5 O 0.1778 0.8294 0.4511 1
O6 O 0.2473 0.9355 0.9844 1

=====

3.
# MgTe2Mo2W2Se4S2, optimized geometry, DFT PBE
# Total magnetization = 0.00 Bohr magnetons per cell
# Distance to the lowest polymorph of the same formula = 0.006 eV/atom
# ρ = 4.60 g/cm³
data_MgTe2Mo2W2Se4S2
_chemical_formula_sum 'Mg1 Te2 Mo2 W2 Se4 S2'
_cell_length_a 3.3341
_cell_length_b 3.3341
_cell_length_c 45.7074
_cell_angle_alpha 90.00
_cell_angle_beta 90.00
_cell_angle_gamma 120.00
_space_group_name_H-M_alt 'P 3 m 1'
_space_group_IT_number 156
loop_
_space_group_symop_operation_xyz
'x,y,z'
'-y,x-y,z'
'-x+y,-x,z'
'-y,-x,z'
'-x+y,y,z'
'x,x-y,z'
loop_
_atom_site_label
_atom_site_type_symbol
_atom_site_fract_x
_atom_site_fract_y
_atom_site_fract_z
_atom_site_occupancy
Mg1 Mg 0.0000 0.0000 0.0000 1
Te1 Te 0.6667 0.3333 0.4923 1
Te2 Te 0.6667 0.3333 0.5756 1
Mo1 Mo 0.3333 0.6667 0.5340 1
Mo2 Mo 0.3333 0.6667 0.9030 1
W1 W 0.6667 0.3333 0.1058 1
W2 W 0.6667 0.3333 0.7220 1
Se1 Se 0.3333 0.6667 0.0688 1
Se2 Se 0.3333 0.6667 0.1425 1
Se3 Se 0.6667 0.3333 0.8666 1
Se4 Se 0.6667 0.3333 0.9401 1
S1 S 0.3333 0.6667 0.6887 1
S2 S 0.3333 0.6667 0.7554 1

=====

- Which of these has the highest ρ?
  Nd4MgCu2O8

=====

Repeat the first record exactly.
# Sb4Se3S3, optimized geometry, DFT PBE
# Raw total energy = -83.65 eV for the cell shown
# Total magnetization = 0.00 Bohr magnetons per cell
# ρ = 4.99 g/cm³
data_Sb4Se3S3
_chemical_formula_sum 'Sb8 Se6 S6'
_cell_length_a 3.9528
_cell_length_b 11.5058
_cell_length_c 11.9980
_cell_angle_alpha 90.00
_cell_angle_beta 90.00
_cell_angle_gamma 90.00
_space_group_name_H-M_alt 'P m c 21'
_space_group_IT_number 26
loop_
_space_group_symop_operation_xyz
'x,y,z'
'-x,-y,z+1/2'
'-x,y,z'
'x,-y,z+1/2'
loop_
_atom_site_label
_atom_site_type_symbol
_atom_site_fract_x
_atom_site_fract_y
_atom_site_fract_z
_atom_site_occupancy
Sb1 Sb 0.0000 0.0780 0.0000 1
Sb2 Sb 0.0000 0.2857 0.3166 1
Sb3 Sb 0.5000 0.2085 0.6098 1
Sb4 Sb 0.5000 0.4155 0.9298 1
Se1 Se 0.0000 0.3766 0.5176 1
Se2 Se 0.5000 0.1164 0.4101 1
Se3 Se 0.5000 0.4453 0.2497 1
S1 S 0.0000 0.0584 0.6669 1
S2 S 0.0000 0.3053 0.8415 1
S3 S 0.5000 0.1908 0.0877 1

=====

- ρ of number 1 (Sb4Se3S3)?
  4.99 g/cm³